No. 1
## Rb18Mg6B29O58F (PBE)

Data for a relaxed Rb18Mg6B29O58F crystal.

Properties
Its volume is 15.77 A^3/atom. The value obtained for the formation energy is -2.78 eV per atom. For the density, the calculation gives 2.77 Mg/m³.

Cell: 11.2016 11.4705 31.5030 Å, 90.11 90.23 60.77°
Element x y z (fractional)
Rb  0.5065  0.6727  0.2690
Rb  0.8208  0.6727  0.2310
Rb  0.4935  0.3273  0.7310
Rb  0.1792  0.3273  0.7690
Rb  0.1641  0.9846  0.2336
Rb  0.8513  0.9846  0.2664
Rb  0.8359  0.0154  0.7664
Rb  0.1487  0.0154  0.7336
Rb  0.4981  0.3622  0.2297
Rb  0.1397  0.3622  0.2703
Rb  0.5019  0.6378  0.7703
Rb  0.8603  0.6378  0.7297
Rb  0.5187  0.7475  0.3800
Rb  0.7338  0.7475  0.1200
Rb  0.4813  0.2525  0.6200
Rb  0.2662  0.2525  0.8800
Rb  0.1904  0.6965  0.4285
Rb  0.1131  0.6965  0.0715
Rb  0.8096  0.3035  0.5715
Rb  0.8869  0.3035  0.9285
Rb  0.7912  0.3847  0.4350
Rb  0.8241  0.3847  0.0650
Rb  0.2088  0.6153  0.5650
Rb  0.1759  0.6153  0.9350
Rb  0.4656  0.3610  0.0979
Rb  0.1735  0.3610  0.4021
Rb  0.5344  0.6390  0.9021
Rb  0.8265  0.6390  0.5979
Rb  0.1287  0.0510  0.1085
Rb  0.8204  0.0510  0.3915
Rb  0.8713  0.9490  0.8915
Rb  0.1796  0.9490  0.6085
Rb  0.4951  0.0533  0.4370
Rb  0.4516  0.0533  0.0630
Rb  0.5049  0.9467  0.5630
Rb  0.5484  0.9467  0.9370
Mg  0.1265  0.0775  0.3453
Mg  0.7960  0.0775  0.1547
Mg  0.8735  0.9225  0.6547
Mg  0.2040  0.9225  0.8453
Mg  0.4303  0.6938  0.1607
Mg  0.8759  0.6938  0.3393
Mg  0.5697  0.3062  0.8393
Mg  0.1241  0.3062  0.6607
Mg  0.4750  0.6760  0.5118
Mg  0.8490  0.6760  0.9882
Mg  0.5250  0.3240  0.4882
Mg  0.1510  0.3240  0.0118
B  0.2415  0.7770  0.3299
B  0.9815  0.7770  0.1701
B  0.7585  0.2230  0.6701
B  0.0185  0.2230  0.8299
B  0.3659  0.5197  0.3336
B  0.1144  0.5197  0.1664
B  0.6341  0.4803  0.6664
B  0.8856  0.4803  0.8336
B  0.2187  0.6533  0.1965
B  0.1280  0.6533  0.3035
B  0.7813  0.3467  0.8035
B  0.8720  0.3467  0.6965
B  0.4147  0.6909  0.0705
B  0.8943  0.6909  0.4295
B  0.5853  0.3091  0.9295
B  0.1057  0.3091  0.5705
B  0.7379  0.4893  0.1737
B  0.7728  0.4893  0.3263
B  0.2621  0.5107  0.8263
B  0.2272  0.5107  0.6737
B  0.6223  0.3812  0.3383
B  0.9965  0.3812  0.1617
B  0.3777  0.6188  0.6617
B  0.0035  0.6188  0.8383
B  0.4738  0.3682  0.3961
B  0.1581  0.3682  0.1039
B  0.5262  0.6318  0.6039
B  0.8419  0.6318  0.8961
B  0.4963  0.0074  0.2500
B  0.5037  0.9926  0.7500
B  0.3682  0.0880  0.3199
B  0.5437  0.0880  0.1801
B  0.6318  0.9120  0.6801
B  0.4563  0.9120  0.8199
B  0.4429  0.9379  0.1788
B  0.6192  0.9379  0.3212
B  0.5571  0.0621  0.8212
B  0.3808  0.0621  0.6788
B  0.0977  0.0945  0.4393
B  0.8078  0.0945  0.0607
B  0.9023  0.9055  0.5607
B  0.1922  0.9055  0.9393
B  0.8216  0.8444  0.4933
B  0.3340  0.8444  0.0067
B  0.1784  0.1556  0.5067
B  0.6660  0.1556  0.9933
B  0.2270  0.9180  0.4927
B  0.8551  0.9180  0.0073
B  0.7730  0.0820  0.5073
B  0.1449  0.0820  0.9927
B  0.8646  0.2516  0.3098
B  0.8838  0.2516  0.1902
B  0.1354  0.7484  0.6902
B  0.1162  0.7484  0.8098
B  0.6891  0.7276  0.4696
B  0.5833  0.7276  0.0304
B  0.3109  0.2724  0.5304
B  0.4167  0.2724  0.9696
O  0.2140  0.5350  0.1936
O  0.2509  0.5350  0.3064
O  0.7860  0.4650  0.8064
O  0.7491  0.4650  0.6936
O  0.4975  0.4393  0.3131
O  0.0632  0.4393  0.1869
O  0.5025  0.5607  0.6869
O  0.9368  0.5607  0.8131
O  0.6208  0.6051  0.1783
O  0.7741  0.6051  0.3217
O  0.3792  0.3949  0.8217
O  0.2259  0.3949  0.6783
O  0.6657  0.4852  0.3472
O  0.8490  0.4852  0.1528
O  0.3343  0.5148  0.6528
O  0.1510  0.5148  0.8472
O  0.2500  0.1537  0.3415
O  0.5963  0.1537  0.1585
O  0.7500  0.8463  0.6585
O  0.4037  0.8463  0.8415
O  0.1842  0.4587  0.1256
O  0.3571  0.4587  0.3744
O  0.8158  0.5413  0.8744
O  0.6429  0.5413  0.6256
O  0.3338  0.6580  0.2060
O  0.0081  0.6580  0.2940
O  0.6662  0.3420  0.7940
O  0.9919  0.3420  0.7060
O  0.0360  0.1289  0.4011
O  0.8352  0.1289  0.0989
O  0.9640  0.8711  0.5989
O  0.1648  0.8711  0.9011
O  0.3862  0.6423  0.1055
O  0.9715  0.6423  0.3945
O  0.6138  0.3577  0.8945
O  0.0285  0.3577  0.6055
O  0.9769  0.1321  0.3043
O  0.8910  0.1321  0.1957
O  0.0231  0.8679  0.6957
O  0.1090  0.8679  0.8043
O  0.2499  0.8893  0.3338
O  0.8608  0.8893  0.1662
O  0.7501  0.1107  0.6662
O  0.1392  0.1107  0.8338
O  0.4932  0.0145  0.3427
O  0.4922  0.0145  0.1573
O  0.5068  0.9855  0.6573
O  0.5078  0.9855  0.8427
O  0.3738  0.0913  0.2759
O  0.5348  0.0913  0.2241
O  0.6262  0.9087  0.7241
O  0.4652  0.9087  0.7759
O  0.3810  0.8829  0.1561
O  0.7361  0.8829  0.3439
O  0.6190  0.1171  0.8439
O  0.2639  0.1171  0.6561
O  0.3476  0.6565  0.3445
O  0.9959  0.6565  0.1555
O  0.6524  0.3435  0.6555
O  0.0041  0.3435  0.8445
O  0.4633  0.9208  0.2225
O  0.6160  0.9208  0.2775
O  0.5367  0.0792  0.7775
O  0.3840  0.0792  0.7225
O  0.0964  0.7766  0.1889
O  0.1270  0.7766  0.3111
O  0.9036  0.2234  0.8111
O  0.8730  0.2234  0.6889
O  0.1559  0.9608  0.4536
O  0.8833  0.9608  0.0464
O  0.8441  0.0392  0.5464
O  0.1167  0.0392  0.9536
O  0.2799  0.7887  0.5041
O  0.9315  0.7887  0.9959
O  0.7201  0.2113  0.4959
O  0.0685  0.2113  0.0041
O  0.7530  0.3691  0.1904
O  0.8779  0.3691  0.3096
O  0.2470  0.6309  0.8096
O  0.1221  0.6309  0.6904
O  0.6037  0.3329  0.3807
O  0.0635  0.3329  0.1193
O  0.3963  0.6671  0.6193
O  0.9365  0.6671  0.8807
O  0.9996  0.2645  0.1836
O  0.7359  0.2645  0.3164
O  0.0004  0.7355  0.8164
O  0.2641  0.7355  0.6836
O  0.1050  0.1883  0.4656
O  0.7066  0.1883  0.0344
O  0.8950  0.8117  0.5344
O  0.2934  0.8117  0.9656
O  0.7869  0.6614  0.4373
O  0.5516  0.6614  0.0627
O  0.2131  0.3386  0.5627
O  0.4484  0.3386  0.9373
O  0.5423  0.6848  0.5671
O  0.7729  0.6848  0.9329
O  0.4577  0.3152  0.4329
O  0.2271  0.3152  0.0671
O  0.5789  0.7103  0.4702
O  0.7108  0.7103  0.0298
O  0.4211  0.2897  0.5298
O  0.2892  0.2897  0.9702
O  0.7067  0.8133  0.4967
O  0.4800  0.8133  0.0033
O  0.2933  0.1867  0.5033
O  0.5200  0.1867  0.9967
O  0.9171  0.7679  0.4589
O  0.3149  0.7679  0.0411
O  0.0829  0.2321  0.5411
O  0.6851  0.2321  0.9589
O  0.2524  0.9894  0.0174
O  0.7582  0.9894  0.4826
O  0.7476  0.0106  0.9826
O  0.2418  0.0106  0.5174
F  0.5000  0.5000  0.5000
F  0.0000  0.5000  0.0000

---

No. 2
## BNF4 (PBE)

Data for a relaxed BNF4 crystal.

Properties
Its volume is 12.35 A^3/atom. The value obtained for the formation energy is -1.36 eV per atom. The offset from the most stable computed form is 13.0 kJ per mole of atoms. For the density, the calculation gives 2.26 Mg/m³.

Cell: 4.9369 7.6092 7.8911 Å, 90.00 90.00 90.00°
Element x y z (fractional)
B  0.2500  0.5539  0.8285
B  0.2500  0.0539  0.6715
B  0.7500  0.4461  0.1715
B  0.7500  0.9461  0.3285
N  0.2500  0.6254  0.2512
N  0.2500  0.1254  0.2488
N  0.7500  0.3746  0.7488
N  0.7500  0.8746  0.7512
F  0.2500  0.4014  0.9197
F  0.2500  0.9014  0.5803
F  0.7500  0.5986  0.0803
F  0.7500  0.0986  0.4197
F  0.2500  0.7070  0.9209
F  0.2500  0.2070  0.5791
F  0.7500  0.2930  0.0791
F  0.7500  0.7930  0.4209
F  0.0152  0.5573  0.7105
F  0.4848  0.0573  0.7895
F  0.5152  0.4427  0.2895
F  0.9848  0.9427  0.2105
F  0.9848  0.4427  0.2895
F  0.5152  0.9427  0.2105
F  0.4848  0.5573  0.7105
F  0.0152  0.0573  0.7895